Below is crystalline MgB4O7 at its relaxed geometry, with properties calculated at the GGA-PBE level.

abc: 8.119 8.734 13.898
angles: 90.00 90.00 90.00
Fractional coordinates of all 96 atoms:
1 Mg 0.121 0.102 0.113
2 Mg 0.121 0.398 0.613
3 Mg 0.379 0.602 0.113
4 Mg 0.379 0.898 0.613
5 Mg 0.621 0.102 0.387
6 Mg 0.621 0.398 0.887
7 Mg 0.879 0.602 0.387
8 Mg 0.879 0.898 0.887
9 B 0.016 0.576 0.166
10 B 0.016 0.924 0.666
11 B 0.036 0.163 0.765
12 B 0.036 0.337 0.265
13 B 0.069 0.704 0.567
14 B 0.069 0.796 0.067
15 B 0.177 0.137 0.465
16 B 0.177 0.363 0.965
17 B 0.323 0.637 0.465
18 B 0.323 0.863 0.965
19 B 0.431 0.204 0.567
20 B 0.431 0.296 0.067
21 B 0.464 0.663 0.765
22 B 0.464 0.837 0.265
23 B 0.484 0.076 0.166
24 B 0.484 0.424 0.666
25 B 0.516 0.576 0.334
26 B 0.516 0.924 0.834
27 B 0.536 0.163 0.735
28 B 0.536 0.337 0.235
29 B 0.569 0.704 0.933
30 B 0.569 0.796 0.433
31 B 0.677 0.137 0.035
32 B 0.677 0.363 0.535
33 B 0.823 0.637 0.035
34 B 0.823 0.863 0.535
35 B 0.931 0.204 0.933
36 B 0.931 0.296 0.433
37 B 0.964 0.663 0.735
38 B 0.964 0.837 0.235
39 B 0.984 0.076 0.334
40 B 0.984 0.424 0.834
41 O 0.012 0.602 0.648
42 O 0.012 0.898 0.148
43 O 0.033 0.181 0.247
44 O 0.033 0.319 0.747
45 O 0.077 0.242 0.996
46 O 0.077 0.258 0.496
47 O 0.089 0.067 0.694
48 O 0.089 0.433 0.194
49 O 0.135 0.051 0.388
50 O 0.135 0.449 0.888
51 O 0.140 0.659 0.108
52 O 0.140 0.841 0.608
53 O 0.176 0.604 0.512
54 O 0.176 0.896 0.012
55 O 0.324 0.104 0.512
56 O 0.324 0.396 0.012
57 O 0.360 0.159 0.108
58 O 0.360 0.341 0.608
59 O 0.365 0.551 0.388
60 O 0.365 0.949 0.888
61 O 0.411 0.567 0.694
62 O 0.411 0.933 0.194
63 O 0.423 0.742 0.996
64 O 0.423 0.758 0.496
65 O 0.467 0.681 0.247
66 O 0.467 0.819 0.747
67 O 0.488 0.102 0.648
68 O 0.488 0.398 0.148
69 O 0.512 0.602 0.852
70 O 0.512 0.898 0.352
71 O 0.533 0.181 0.253
72 O 0.533 0.319 0.753
73 O 0.577 0.242 0.504
74 O 0.577 0.258 0.004
75 O 0.589 0.067 0.806
76 O 0.589 0.433 0.306
77 O 0.635 0.051 0.112
78 O 0.635 0.449 0.612
79 O 0.640 0.659 0.392
80 O 0.640 0.841 0.892
81 O 0.676 0.604 0.988
82 O 0.676 0.896 0.488
83 O 0.824 0.104 0.988
84 O 0.824 0.396 0.488
85 O 0.860 0.159 0.392
86 O 0.860 0.341 0.892
87 O 0.865 0.551 0.112
88 O 0.865 0.949 0.612
89 O 0.911 0.567 0.806
90 O 0.911 0.933 0.306
91 O 0.923 0.742 0.504
92 O 0.923 0.758 0.004
93 O 0.967 0.681 0.253
94 O 0.967 0.819 0.753
95 O 0.988 0.102 0.852
96 O 0.988 0.398 0.352

* ΔH_f (0 K): -2.930 eV per atom
* mass density: 2.42 Mg/m³
* calculated volume: 10.27 A^3/atom

Below is crystalline MgB3O13 at its relaxed geometry, with properties calculated at the GGA-PBE level.

abc: 6.419 13.218 11.322
angles: 90.00 101.23 90.00
Fractional coordinates of all 68 atoms:
1 Mg 0.184 0.149 0.069
2 Mg 0.184 0.351 0.569
3 Mg 0.816 0.649 0.431
4 Mg 0.816 0.851 0.931
5 B 0.291 0.035 0.855
6 B 0.291 0.465 0.355
7 B 0.359 0.546 0.715
8 B 0.359 0.954 0.215
9 B 0.435 0.602 0.275
10 B 0.435 0.898 0.775
11 B 0.565 0.102 0.225
12 B 0.565 0.398 0.725
13 B 0.641 0.046 0.785
14 B 0.641 0.454 0.285
15 B 0.709 0.535 0.645
16 B 0.709 0.965 0.145
17 O 0.094 0.218 0.212
18 O 0.094 0.282 0.712
19 O 0.151 0.087 0.908
20 O 0.151 0.413 0.408
21 O 0.168 0.039 0.452
22 O 0.168 0.461 0.952
23 O 0.175 0.004 0.143
24 O 0.175 0.496 0.643
25 O 0.182 0.723 0.529
26 O 0.182 0.777 0.029
27 O 0.202 0.203 0.467
28 O 0.202 0.297 0.967
29 O 0.220 0.114 0.520
30 O 0.220 0.386 0.020
31 O 0.253 0.561 0.306
32 O 0.253 0.939 0.806
33 O 0.266 0.693 0.031
34 O 0.266 0.807 0.531
35 O 0.282 0.624 0.781
36 O 0.282 0.876 0.281
37 O 0.455 0.040 0.295
38 O 0.455 0.460 0.795
39 O 0.466 0.185 0.174
40 O 0.466 0.315 0.674
41 O 0.487 0.081 0.858
42 O 0.487 0.419 0.358
43 O 0.513 0.581 0.642
44 O 0.513 0.919 0.142
45 O 0.534 0.685 0.326
46 O 0.534 0.815 0.826
47 O 0.545 0.540 0.205
48 O 0.545 0.960 0.705
49 O 0.718 0.124 0.719
50 O 0.718 0.376 0.219
51 O 0.734 0.193 0.469
52 O 0.734 0.307 0.969
53 O 0.747 0.061 0.194
54 O 0.747 0.439 0.694
55 O 0.780 0.614 0.980
56 O 0.780 0.886 0.480
57 O 0.798 0.703 0.033
58 O 0.798 0.797 0.533
59 O 0.818 0.223 0.971
60 O 0.818 0.277 0.471
61 O 0.825 0.504 0.357
62 O 0.825 0.996 0.857
63 O 0.832 0.539 0.048
64 O 0.832 0.961 0.548
65 O 0.849 0.587 0.592
66 O 0.849 0.913 0.092
67 O 0.906 0.718 0.288
68 O 0.906 0.782 0.788

* ΔH_f (0 K): -0.857 eV per atom
* mass density: 1.87 Mg/m³
* polymorph energy (0 for the lowest one): 0.256 eV per atom
* calculated volume: 13.86 A^3/atom

Below is crystalline MgBPO6 at its relaxed geometry, with properties calculated at the GGA-PBE level.

abc: 7.593 7.593 12.667
angles: 90.00 90.00 120.00
Fractional coordinates of all 54 atoms:
1 Mg 0.000 0.764 0.167
2 Mg 0.000 0.875 0.667
3 Mg 0.125 0.125 0.000
4 Mg 0.236 0.236 0.500
5 Mg 0.764 0.000 0.833
6 Mg 0.875 0.000 0.333
7 B 0.248 0.683 0.789
8 B 0.317 0.565 0.122
9 B 0.435 0.752 0.456
10 B 0.565 0.317 0.878
11 B 0.683 0.248 0.211
12 B 0.752 0.435 0.544
13 P 0.068 0.746 0.428
14 P 0.254 0.322 0.761
15 P 0.322 0.254 0.239
16 P 0.678 0.932 0.095
17 P 0.746 0.068 0.572
18 P 0.932 0.678 0.905
19 O 0.018 0.807 0.005
20 O 0.074 0.600 0.863
21 O 0.094 0.205 0.848
22 O 0.111 0.906 0.514
23 O 0.167 0.412 0.056
24 O 0.193 0.211 0.338
25 O 0.194 0.640 0.170
26 O 0.205 0.094 0.152
27 O 0.211 0.193 0.662
28 O 0.245 0.833 0.722
29 O 0.248 0.517 0.728
30 O 0.269 0.752 0.395
31 O 0.360 0.554 0.503
32 O 0.400 0.474 0.197
33 O 0.412 0.167 0.944
34 O 0.446 0.806 0.836
35 O 0.474 0.400 0.803
36 O 0.483 0.731 0.062
37 O 0.517 0.248 0.272
38 O 0.526 0.926 0.530
39 O 0.554 0.360 0.497
40 O 0.588 0.755 0.389
41 O 0.600 0.074 0.137
42 O 0.640 0.194 0.830
43 O 0.731 0.483 0.938
44 O 0.752 0.269 0.605
45 O 0.755 0.588 0.611
46 O 0.789 0.982 0.671
47 O 0.795 0.889 0.181
48 O 0.806 0.446 0.164
49 O 0.807 0.018 0.995
50 O 0.833 0.245 0.278
51 O 0.889 0.795 0.819
52 O 0.906 0.111 0.486
53 O 0.926 0.526 0.470
54 O 0.982 0.789 0.329

* ΔH_f (0 K): -2.406 eV per atom
* mass density: 2.55 Mg/m³
* calculated volume: 11.71 A^3/atom

Below is crystalline RbMg30BO31 at its relaxed geometry, with properties calculated at the GGA-PBE level.

abc: 8.415 8.842 8.595
angles: 90.00 90.00 90.00
Fractional coordinates of all 63 atoms:
1 Rb 0.000 0.000 0.000
2 Mg 0.000 0.000 0.472
3 Mg 0.000 0.253 0.730
4 Mg 0.000 0.263 0.234
5 Mg 0.000 0.500 0.483
6 Mg 0.000 0.500 0.979
7 Mg 0.000 0.737 0.234
8 Mg 0.000 0.747 0.730
9 Mg 0.245 0.000 0.724
10 Mg 0.248 0.500 0.729
11 Mg 0.250 0.250 0.482
12 Mg 0.250 0.750 0.482
13 Mg 0.253 0.500 0.233
14 Mg 0.258 0.264 0.980
15 Mg 0.258 0.736 0.980
16 Mg 0.268 0.000 0.243
17 Mg 0.500 0.000 0.488
18 Mg 0.500 0.244 0.226
19 Mg 0.500 0.264 0.733
20 Mg 0.500 0.500 0.479
21 Mg 0.500 0.500 0.984
22 Mg 0.500 0.736 0.733
23 Mg 0.500 0.756 0.226
24 Mg 0.732 0.000 0.243
25 Mg 0.742 0.264 0.980
26 Mg 0.742 0.736 0.980
27 Mg 0.747 0.500 0.233
28 Mg 0.750 0.250 0.482
29 Mg 0.750 0.750 0.482
30 Mg 0.752 0.500 0.729
31 Mg 0.755 0.000 0.724
32 B 0.500 0.000 0.914
33 O 0.000 0.000 0.709
34 O 0.000 0.257 0.482
35 O 0.000 0.276 0.980
36 O 0.000 0.500 0.236
37 O 0.000 0.500 0.726
38 O 0.000 0.724 0.980
39 O 0.000 0.743 0.482
40 O 0.250 0.248 0.733
41 O 0.250 0.752 0.733
42 O 0.251 0.248 0.228
43 O 0.251 0.500 0.481
44 O 0.251 0.500 0.981
45 O 0.251 0.752 0.228
46 O 0.255 0.000 0.488
47 O 0.340 0.000 0.971
48 O 0.500 0.000 0.258
49 O 0.500 0.000 0.744
50 O 0.500 0.251 0.487
51 O 0.500 0.274 0.977
52 O 0.500 0.500 0.235
53 O 0.500 0.500 0.726
54 O 0.500 0.726 0.977
55 O 0.500 0.749 0.487
56 O 0.660 0.000 0.971
57 O 0.745 0.000 0.488
58 O 0.749 0.248 0.228
59 O 0.749 0.500 0.481
60 O 0.749 0.500 0.981
61 O 0.749 0.752 0.228
62 O 0.750 0.248 0.733
63 O 0.750 0.752 0.733

* ΔH_f (0 K): -2.855 eV per atom
* mass density: 3.43 Mg/m³
* polymorph energy (0 for the lowest one): 0.000 eV per atom
* calculated volume: 10.15 A^3/atom